GdTa3O9: relaxed, PBE-GGA.

## Properties
Space group ... Pnma, No. 62
Distance to the lowest polymorph of the same formula ... 0.307 eV/f.u.
Raw total energy ... -533.18 eV for the cell shown
Formation enthalpy at 0 K ... -3.48 eV/atom

Structure (POSCAR):
```
GdTa3O9
1.0
-0.447 5.775 -3.004
-2.232 -3.521 -6.435
-12.081 0.969 3.660
Ta O Gd
12 36 4
direct
0.710 0.003 0.786
0.790 0.997 0.286
0.000 0.000 0.000
0.210 0.497 0.714
0.210 0.003 0.714
0.790 0.503 0.286
0.290 0.503 0.214
0.000 0.500 0.000
0.500 0.500 0.500
0.500 0.000 0.500
0.710 0.497 0.786
0.290 0.997 0.214
0.703 0.750 0.802
0.520 0.039 0.656
0.402 0.531 0.833
0.098 0.031 0.333
0.825 0.750 0.326
0.520 0.461 0.656
0.980 0.539 0.156
0.598 0.031 0.167
0.980 0.961 0.156
0.209 0.967 0.538
0.291 0.033 0.038
0.797 0.250 0.302
0.574 0.750 0.523
0.175 0.250 0.674
0.902 0.969 0.667
0.675 0.250 0.826
0.902 0.531 0.667
0.098 0.469 0.333
0.598 0.469 0.167
0.480 0.961 0.344
0.020 0.039 0.844
0.297 0.250 0.198
0.402 0.969 0.833
0.291 0.467 0.038
0.325 0.750 0.174
0.709 0.967 0.962
0.209 0.533 0.538
0.709 0.533 0.962
0.426 0.250 0.477
0.791 0.467 0.462
0.203 0.750 0.698
0.480 0.539 0.344
0.791 0.033 0.462
0.020 0.461 0.844
0.074 0.750 0.977
0.926 0.250 0.023
0.445 0.750 0.966
0.555 0.250 0.034
0.945 0.750 0.534
0.055 0.250 0.466
```